# LaBPt2, relaxed, DFT GGA-PBE
data_LaBPt2
_chemical_formula_sum 'La3 B3 Pt6'
_cell_length_a 5.5729
_cell_length_b 5.5729
_cell_length_c 8.0131
_cell_angle_alpha 90.00
_cell_angle_beta 90.00
_cell_angle_gamma 120.00
_symmetry_space_group_name_H-M 'P 62 2 2'
_symmetry_Int_Tables_number 180
_symmetry_space_group_name_Hall 'P 62 2 (0 0 4)'
loop_
_atom_site_label
_atom_site_fract_x
_atom_site_fract_y
_atom_site_fract_z
La1 0.0000 0.5000 0.1667
B1 0.0000 0.5000 0.6667
Pt1 0.1542 0.3084 0.5000
# E_form ... -21.30 kcal/mol of atoms
# Raw total energy ... -82.36 eV/cell

# LiBiP2O7, relaxed, DFT GGA-PBE
data_LiBiP2O7
_chemical_formula_sum 'Li4 Bi4 P8 O28'
_cell_length_a 8.070
_cell_length_b 10.364
_cell_length_c 7.571
_cell_angle_alpha 90.00
_cell_angle_beta 90.67
_cell_angle_gamma 90.00
_symmetry_space_group_name_H-M 'P 1 21/c 1'
_symmetry_Int_Tables_number 14
_symmetry_space_group_name_Hall '-P 2ybc'
loop_
_atom_site_label
_atom_site_fract_x
_atom_site_fract_y
_atom_site_fract_z
Li1 0.033 0.103 0.308
Bi1 0.366 0.646 0.888
P1 0.202 0.594 0.518
P2 0.298 0.039 0.696
O1 0.096 0.686 0.407
O2 0.140 0.541 0.692
O3 0.163 0.523 0.078
O4 0.243 0.033 0.899
O5 0.342 0.179 0.657
O6 0.371 0.664 0.562
O7 0.459 0.546 0.172
# E (MP2020) ... -7.122 eV per atom
# E_form ... -56.77 kcal/mol of atoms
# Raw total energy ... -294.12 eV/cell

# CaLa4Si3O13, relaxed, DFT GGA-PBE
data_CaLa4Si3O13
_chemical_formula_sum 'Ca2 La8 Si6 O26'
_cell_length_a 9.7357
_cell_length_b 9.7357
_cell_length_c 7.1865
_cell_angle_alpha 90.00
_cell_angle_beta 90.00
_cell_angle_gamma 120.00
_symmetry_space_group_name_H-M 'P 63'
_symmetry_Int_Tables_number 173
_symmetry_space_group_name_Hall 'P 6c'
loop_
_atom_site_label
_atom_site_fract_x
_atom_site_fract_y
_atom_site_fract_z
Ca1 0.3333 0.6667 0.0000
La1 0.0107 0.2437 0.7512
La2 0.3333 0.6667 0.5011
Si1 0.0300 0.4029 0.2494
O1 0.0000 0.0000 0.2515
O2 0.0859 0.3386 0.0690
O3 0.0890 0.3435 0.4332
O4 0.1282 0.5976 0.2503
O5 0.1631 0.6723 0.7513
# E (MP2020) ... -8.600 eV per atom
# E_form ... -85.93 kcal/mol of atoms
# Raw total energy ... -343.33 eV/cell

# SmEr3Mn8, relaxed, DFT GGA-PBE
data_SmEr3Mn8
_chemical_formula_sum 'Sm2 Er6 Mn16'
_cell_length_a 8.702
_cell_length_b 5.057
_cell_length_c 8.638
_cell_angle_alpha 90.00
_cell_angle_beta 90.39
_cell_angle_gamma 90.00
_symmetry_space_group_name_H-M 'C 1 m 1'
_symmetry_Int_Tables_number 8
_symmetry_space_group_name_Hall 'C -2y'
loop_
_atom_site_label
_atom_site_fract_x
_atom_site_fract_y
_atom_site_fract_z
Sm1 0.000 0.000 0.000
Er1 0.000 0.000 0.629
Er2 0.167 0.500 0.133
Er3 0.167 0.500 0.499
Mn1 0.002 0.500 0.810
Mn2 0.165 0.000 0.319
Mn3 0.249 0.253 0.811
Mn4 0.333 0.000 0.066
Mn5 0.333 0.000 0.564
Mn6 0.418 0.253 0.318
# E_form ... 2.76 kcal/mol of atoms
# Raw total energy ... -180.57 eV/cell

# Ca3Ge4Au7, relaxed, DFT GGA-PBE
data_Ca3Ge4Au7
_chemical_formula_sum 'Ca6 Ge8 Au14'
_cell_length_a 9.709
_cell_length_b 13.300
_cell_length_c 4.523
_cell_angle_alpha 90.00
_cell_angle_beta 90.00
_cell_angle_gamma 90.00
_symmetry_space_group_name_H-M 'P n n m'
_symmetry_Int_Tables_number 58
_symmetry_space_group_name_Hall '-P 2 2n'
loop_
_atom_site_label
_atom_site_fract_x
_atom_site_fract_y
_atom_site_fract_z
Ca1 0.000 0.000 0.000
Ca2 0.001 0.311 0.000
Ge1 0.148 0.817 0.500
Ge2 0.224 0.625 0.500
Au1 0.000 0.500 0.500
Au2 0.113 0.158 0.500
Au3 0.198 0.497 0.000
Au4 0.240 0.361 0.500
# E_form ... -11.54 kcal/mol of atoms
# Raw total energy ... -108.86 eV/cell

# Hf5CoSn3, relaxed, DFT GGA-PBE
data_Hf5CoSn3
_chemical_formula_sum 'Hf10 Co2 Sn6'
_cell_length_a 8.6316
_cell_length_b 8.6316
_cell_length_c 5.7918
_cell_angle_alpha 90.00
_cell_angle_beta 90.00
_cell_angle_gamma 120.00
_symmetry_space_group_name_H-M 'P 63/m c m'
_symmetry_Int_Tables_number 193
_symmetry_space_group_name_Hall '-P 6c 2'
loop_
_atom_site_label
_atom_site_fract_x
_atom_site_fract_y
_atom_site_fract_z
Hf1 0.0000 0.2456 0.2500
Hf2 0.3333 0.6667 0.0000
Co1 0.0000 0.0000 0.0000
Sn1 0.0000 0.3980 0.7500
# E_form ... -9.22 kcal/mol of atoms
# Raw total energy ... -145.04 eV/cell

# SrCe3, relaxed, DFT GGA-PBE
data_SrCe3
_chemical_formula_sum 'Sr2 Ce6'
_cell_length_a 7.3732
_cell_length_b 7.3732
_cell_length_c 5.7686
_cell_angle_alpha 90.00
_cell_angle_beta 90.00
_cell_angle_gamma 120.00
_symmetry_space_group_name_H-M 'P 63/m m c'
_symmetry_Int_Tables_number 194
_symmetry_space_group_name_Hall '-P 6c 2c'
loop_
_atom_site_label
_atom_site_fract_x
_atom_site_fract_y
_atom_site_fract_z
Sr1 0.3333 0.6667 0.2500
Ce1 0.1527 0.3054 0.7500
# E_form ... 8.31 kcal/mol of atoms
# Raw total energy ... -36.10 eV/cell

# YHo3, relaxed, DFT GGA-PBE
data_YHo3
_chemical_formula_sum 'Y1 Ho3'
_cell_length_a 5.014
_cell_length_b 5.014
_cell_length_c 5.014
_cell_angle_alpha 90.00
_cell_angle_beta 90.00
_cell_angle_gamma 90.00
_symmetry_space_group_name_H-M 'P m -3 m'
_symmetry_Int_Tables_number 221
_symmetry_space_group_name_Hall '-P 4 2 3'
loop_
_atom_site_label
_atom_site_fract_x
_atom_site_fract_y
_atom_site_fract_z
Y1 0.000 0.000 0.000
Ho1 0.000 0.500 0.500
# E_form ... 0.70 kcal/mol of atoms
# Raw total energy ... -20.09 eV/cell